Nd3Sn5Pd5 | PBE | relaxed

Unit cell a=17.5347 b=4.6021 c=14.5145 alpha=90.00 beta=99.62 gamma=90.00
Space group C2/m (No. 12)
One atom of each set of equivalent atoms:
Nd  0.1017  0.0000  0.2150 x4
Nd  0.1358  0.0000  0.5859 x4
Nd  0.1370  0.0000  0.8709 x4
Sn  0.0000  0.0000  0.0000 x2
Sn  0.0000  0.5000  0.5000 x2
Sn  0.0306  0.5000  0.7198 x4
Sn  0.1494  0.5000  0.0515 x4
Sn  0.1521  0.5000  0.4059 x4
Sn  0.2035  0.5000  0.7399 x4
Pd  0.0082  0.5000  0.9019 x4
Pd  0.0354  0.0000  0.3863 x4
Pd  0.2166  0.5000  0.2409 x4
Pd  0.2348  0.0000  0.4263 x4
Pd  0.2392  0.0000  0.0680 x4

Values from the calculation:
* crystal system: monoclinic
* DFT total energy: -5.4327 eV/atom

NdSnPd | PBE | relaxed

Unit cell a=7.6885 b=7.6885 c=4.1308 alpha=90.00 beta=90.00 gamma=120.00
Space group P-62m (No. 189)
One atom of each set of equivalent atoms:
Nd  0.0000  0.4106  0.0000 x3
Sn  0.0000  0.7476  0.5000 x3
Pd  0.0000  0.0000  0.0000 x1
Pd  0.3333  0.6667  0.5000 x2

Values from the calculation:
* crystal system: hexagonal
* DFT total energy: -5.5656 eV/atom

Nd6Zn4Pd13 | PBE | relaxed

Unit cell a=9.7081 b=9.7081 c=9.7081 alpha=90.00 beta=90.00 gamma=90.00
Space group Im-3m (No. 229)
One atom of each set of equivalent atoms:
Nd  0.0000  0.0000  0.3028 x12
Zn  0.2500  0.2500  0.2500 x8
Pd  0.0000  0.0000  0.0000 x2
Pd  0.0000  0.3311  0.3311 x24

Values from the calculation:
* crystal system: cubic
* DFT total energy: -5.1888 eV/atom